# 1
DFT (GGA-PBE) results for crystalline Li3CuS2 at its relaxed geometry.

Summary:
Energy, eV per atom: -4.041
Total magnetization, μB/f.u.: 0.00
Formation energy, kJ/mol of formula units: -690
Energy with MP2020 corrections, Ha/atom: -0.15468
Volume, Å³ per cell: 713

Cell and atoms, written as extended XYZ:
```
48
Lattice="-5.629 5.629 5.629 5.629 -5.629 5.629 5.629 5.629 -5.629" Properties=species:S:1:pos:R:3 pbc="T T T"
Li 7.011 4.200 4.233
Li -1.382 4.200 7.025
Li -1.396 7.011 1.428
Li -1.396 4.247 4.200
Li 1.396 1.382 4.200
Li 1.396 -1.382 1.428
Li 1.428 1.396 -1.382
Li 1.428 -1.396 7.011
Li 1.428 7.025 1.382
Li 1.428 4.233 4.247
Li 1.382 4.200 1.396
Li 1.382 1.428 7.025
Li 4.247 1.428 4.233
Li 4.247 4.200 -1.396
Li 4.200 1.396 1.382
Li 4.200 -1.396 4.247
Li 4.200 4.233 7.011
Li 4.200 7.025 -1.382
Li 4.233 4.247 1.428
Li 4.233 7.011 4.200
Li 7.025 -1.382 4.200
Li 7.025 1.382 1.428
Li 7.011 1.428 -1.396
Li -1.382 1.428 1.396
Cu -1.431 1.431 7.060
Cu -1.431 4.198 1.431
Cu 1.431 1.431 1.431
Cu 1.431 -1.431 4.198
Cu 1.431 7.060 -1.431
Cu 4.198 1.431 -1.431
Cu 4.198 4.198 4.198
Cu 7.060 -1.431 1.431
S -2.782 5.629 2.814
S 0.000 0.000 0.000
S 0.000 5.629 0.000
S 0.000 0.000 5.629
S 0.000 2.814 2.782
S 0.000 2.814 8.411
S 2.782 0.000 2.814
S 2.814 2.782 0.000
S 2.814 -2.782 5.629
S 2.814 2.847 5.629
S 2.814 8.411 0.000
S 2.847 5.629 2.814
S 5.629 0.000 0.000
S 5.629 2.814 -2.782
S 5.629 2.814 2.847
S 8.411 0.000 2.814
```

# 2
DFT (GGA-PBE) results for crystalline LiCuS2 at its relaxed geometry.

Summary:
Energy, eV per atom: -4.090
Total magnetization, μB/f.u.: 0.00
Formation energy, kJ/mol of formula units: -298
Energy with MP2020 corrections, Ha/atom: -0.15956
Volume, Å³ per cell: 134

Cell and atoms, written as extended XYZ:
```
8
Lattice="-2.560 -2.192 0.171 3.262 -3.534 3.529 -2.358 3.171 5.355" Properties=species:S:1:pos:R:3 pbc="T T T"
Li -2.459 0.489 2.763
Li 1.631 -1.767 1.765
Cu 0.000 0.000 0.000
Cu -0.828 -1.278 4.527
S -2.693 0.961 5.308
S 0.196 0.006 3.011
S 0.709 -0.370 5.873
S 1.038 -3.517 3.746
```

# 3
DFT (GGA-PBE) results for crystalline Li3CuS2 at its relaxed geometry.

Summary:
Energy, eV per atom: -4.004
Total magnetization, μB/f.u.: 0.00
Formation energy, kJ/mol of formula units: -669
Energy with MP2020 corrections, Ha/atom: -0.15330
Volume, Å³ per cell: 406

Cell and atoms, written as extended XYZ:
```
24
Lattice="-6.718 -3.094 -2.974 3.681 -5.496 -2.598 1.586 -7.526 4.248" Properties=species:S:1:pos:R:3 pbc="T T T"
Li -1.435 -11.369 -1.393
Li -2.283 -3.750 -1.660
Li -5.535 -4.417 -3.171
Li 0.502 -8.637 2.071
Li -4.827 -9.050 -1.013
Li 0.623 -9.164 -1.458
Li -2.073 -6.952 0.134
Li 3.376 -7.066 -0.311
Li -1.953 -7.479 -3.395
Li 4.084 -11.698 1.847
Li 0.833 -12.366 0.336
Li -0.015 -4.746 0.069
Cu 2.769 -9.915 0.457
Cu -2.334 -9.460 0.827
Cu 0.883 -6.655 -2.151
Cu -4.219 -6.201 -1.781
S 2.883 -8.207 1.763
S -0.347 -10.201 0.451
S -0.848 -9.808 -3.380
S -1.065 -2.393 0.079
S -0.386 -13.723 -1.403
S -0.603 -6.308 2.056
S -1.103 -5.915 -1.775
S -4.334 -7.909 -3.087
```

# 4
DFT (GGA-PBE) results for crystalline Li3CuS2 at its relaxed geometry.

Summary:
Energy, eV per atom: -4.060
Formation energy, kJ/mol of formula units: -701
Energy with MP2020 corrections, Ha/atom: -0.15536
Volume, Å³ per cell: 193

Cell and atoms, written as extended XYZ:
```
12
Lattice="-2.846 3.026 5.598 2.846 -3.026 5.598 2.846 3.026 -5.598" Properties=species:S:1:pos:R:3 pbc="T T T"
Li 0.000 4.540 2.604
Li 0.000 1.513 2.604
Li 0.000 1.513 5.598
Li 2.846 1.513 0.000
Li 2.846 1.513 2.995
Li 2.846 -1.513 2.995
Cu 0.000 3.026 0.000
Cu 0.000 0.000 0.000
S -1.279 3.026 4.095
S 1.279 0.000 4.095
S 1.567 3.027 1.503
S 4.125 0.000 1.503
```

# 5
DFT (GGA-PBE) results for crystalline Li2Cu2S3 at its relaxed geometry.

Summary:
Energy, eV per atom: -4.092
Total magnetization, μB/f.u.: 0.00
Formation energy, kJ/mol of formula units: -553
Energy with MP2020 corrections, Ha/atom: -0.15830
Volume, Å³ per cell: 467

Cell and atoms, written as extended XYZ:
```
28
Lattice="6.007 6.768 0.000 -6.007 6.768 0.000 0.000 2.990 5.741" Properties=species:S:1:pos:R:3 pbc="T T T"
Li -0.992 12.264 0.350
Li 0.992 13.759 3.221
Li -2.698 7.515 1.435
Li 0.855 7.515 1.435
Li -0.855 9.010 4.306
Li 2.698 9.010 4.306
Li -0.992 2.766 2.520
Li 0.992 4.261 5.391
Cu 0.922 10.718 2.219
Cu -2.885 10.416 2.301
Cu -0.922 12.213 5.090
Cu 2.885 11.911 5.171
Cu -2.885 4.614 0.570
Cu 0.922 4.312 0.651
Cu 2.885 6.109 3.440
Cu -0.922 5.806 3.522
S -0.907 9.512 1.594
S 2.686 9.378 1.650
S 0.907 11.007 4.465
S -2.686 10.872 4.521
S -4.692 5.875 1.056
S 4.692 10.650 4.685
S 2.686 5.653 1.220
S -0.907 5.518 1.276
S 4.692 7.369 3.927
S -2.686 7.147 4.091
S 0.907 7.013 4.147
S -4.692 9.155 1.814
```

# 6
DFT (GGA-PBE) results for crystalline LiCuS2 at its relaxed geometry.

Summary:
Energy, eV per atom: -4.091
Total magnetization, μB/f.u.: 0.00
Formation energy, kJ/mol of formula units: -298
Energy with MP2020 corrections, Ha/atom: -0.15959
Volume, Å³ per cell: 71

Cell and atoms, written as extended XYZ:
```
4
Lattice="1.711 3.866 0.000 -1.711 3.866 0.000 0.000 2.801 5.373" Properties=species:S:1:pos:R:3 pbc="T T T"
Li 0.000 5.267 2.686
Cu 0.000 3.866 0.000
S 0.000 7.496 1.427
S 0.000 3.038 3.945
```

# 7
DFT (GGA-PBE) results for crystalline Li3CuS2 at its relaxed geometry.

Summary:
Energy, eV per atom: -3.984
Total magnetization, μB/f.u.: 0.00
Formation energy, kJ/mol of formula units: -657
Energy with MP2020 corrections, Ha/atom: -0.15257
Volume, Å³ per cell: 388

Cell and atoms, written as extended XYZ:
```
24
Lattice="3.662 -6.968 1.154 -7.853 -1.179 -0.477 2.606 3.277 -6.765" Properties=species:S:1:pos:R:3 pbc="T T T"
Li 1.509 -5.948 0.096
Li 4.215 -3.712 -4.130
Li -0.043 -4.053 -1.143
Li 1.382 -3.601 -3.608
Li -3.751 -5.867 -0.331
Li -2.567 -4.044 -2.225
Li 1.096 -0.893 -3.966
Li -3.064 -1.231 -2.613
Li 2.262 0.959 -5.624
Li -5.724 -1.008 -1.971
Li -1.619 -0.967 -4.933
Li -3.210 1.146 -6.082
Cu 2.483 -2.665 -1.114
Cu -3.011 -2.331 0.050
Cu -0.396 -1.217 -1.522
Cu -0.661 1.344 -3.502
S -0.335 -7.423 0.893
S -2.025 -4.208 0.361
S 3.184 -1.782 -2.936
S 4.386 -0.270 -6.058
S -0.823 -2.529 -3.162
S -1.555 -4.776 -5.971
S -2.776 1.026 -3.630
S -6.399 0.483 -3.851
```

# 8
DFT (GGA-PBE) results for crystalline Li22Cu21Si14 at its relaxed geometry.

Summary:
Energy, eV per atom: -3.863
Total magnetization, μB/f.u.: 0.04
Formation energy, kJ/mol of formula units: -1463
Energy with MP2020 corrections, Ha/atom: -0.14132
Volume, Å³ per cell: 2313

Cell and atoms, written as extended XYZ:
```
171
Lattice="0.000 0.000 -13.573 -7.014 -12.149 0.000 -7.014 12.149 0.000" Properties=species:S:1:pos:R:3 pbc="T T T"
Li -12.703 1.331 -2.540
Li -1.815 0.482 -11.588
Li -6.524 10.336 -7.064
Li -8.015 1.338 -3.483
Li -4.165 4.538 -12.532
Li -8.862 6.273 -8.007
Li -10.107 0.434 -1.467
Li -2.337 3.179 -10.515
Li -8.599 8.536 -5.991
Li -13.164 0.566 -5.080
Li -0.922 0.465 -0.556
Li -6.956 11.118 -9.605
Li -4.707 -6.328 -11.194
Li -6.194 -0.913 -6.670
Li -10.141 -4.908 -2.146
Li -4.595 1.824 -11.266
Li -6.297 7.257 -6.741
Li -10.151 3.067 -2.217
Li -7.799 -8.957 -1.418
Li -2.372 -2.276 -10.467
Li -10.871 -0.916 -5.943
Li -6.450 -9.287 -6.841
Li -2.760 -0.943 -2.317
Li -11.832 -1.919 -11.365
Li -7.099 2.991 -12.103
Li -6.055 4.505 -7.579
Li -7.888 4.652 -3.055
Li -9.165 2.086 -10.352
Li -4.238 3.169 -5.828
Li -7.639 6.894 -1.304
Li -10.869 -3.518 -6.672
Li -5.547 -7.653 -2.148
Li -4.627 -0.977 -11.196
Li -8.562 -7.522 -5.980
Li -3.233 -3.654 -1.456
Li -9.248 -0.973 -10.505
Li -9.245 -5.924 -10.340
Li -4.275 -5.044 -5.816
Li -7.522 -1.180 -1.292
Li -8.380 0.642 -5.933
Li -3.380 4.571 -1.409
Li -9.283 6.936 -10.457
Li -11.774 2.945 -11.211
Li -3.677 0.480 -6.687
Li -5.591 8.724 -2.163
Li -6.866 -10.130 -9.549
Li -1.822 -0.881 -5.025
Li -12.354 -1.138 -0.501
Li -8.730 -5.197 -7.633
Li -5.163 -4.962 -3.109
Li -7.150 -1.990 -12.158
Li -11.041 4.423 -6.652
Li -5.324 0.375 -2.128
Li -4.677 7.351 -11.177
Li -8.676 2.881 -7.625
Li -5.171 3.195 -3.101
Li -7.196 6.073 -12.149
Li -5.206 4.597 -10.083
Li -8.392 5.341 -5.558
Li -7.444 2.211 -1.034
Li -7.190 -5.081 -12.104
Li -6.033 -3.686 -7.580
Li -7.819 -3.382 -3.056
Li -5.181 -3.615 -10.124
Li -8.308 -2.679 -5.600
Li -7.554 -5.855 -1.075
Cu -8.642 -7.512 -12.850
Cu -3.202 -3.728 -8.325
Cu -9.199 -0.909 -3.801
Cu -11.711 0.492 -10.117
Cu -1.585 1.761 -5.593
Cu -7.747 9.896 -1.068
Cu -9.284 4.486 -11.620
Cu -6.257 1.865 -7.096
Cu -5.501 5.797 -2.571
Cu -6.892 0.480 -10.920
Cu -3.984 5.941 -6.395
Cu -10.167 5.729 -1.871
Cu -5.527 -7.828 -8.893
Cu -4.486 -0.873 -4.369
Cu -11.029 -3.448 -13.417
Cu -6.587 2.572 -9.492
Cu -5.948 5.159 -4.967
Cu -8.508 4.418 -0.443
Cu -12.527 0.454 -7.781
Cu -1.144 1.073 -3.257
Cu -7.371 10.622 -12.305
Cu -11.034 4.318 -13.472
Cu -5.236 0.434 -8.948
Cu -4.772 7.397 -4.424
Cu -8.466 0.477 -12.897
Cu -3.194 4.579 -8.373
Cu -9.382 7.093 -3.849
Cu -9.312 -4.991 -4.751
Cu -5.050 -5.569 -0.227
Cu -6.680 -1.588 -9.275
Cu -6.691 -5.578 -9.391
Cu -5.852 -3.005 -4.867
Cu -8.500 -3.565 -0.342
Cu -10.920 0.505 -12.521
Cu -1.992 2.439 -7.997
Cu -8.130 9.204 -3.473
Cu -10.904 1.719 -6.328
Cu -3.051 1.846 -1.803
Cu -7.087 8.584 -10.852
Cu -3.718 0.411 -13.387
Cu -5.511 8.723 -8.863
Cu -11.813 3.014 -4.338
Cu -6.368 -6.307 -7.071
Cu -5.382 -2.361 -2.547
Cu -9.292 -3.480 -11.595
Cu -10.131 4.458 -9.227
Cu -5.809 1.146 -4.703
Cu -5.102 6.545 -0.178
Cu -7.085 -7.626 -10.833
Cu -3.881 -2.323 -6.308
Cu -10.076 -2.200 -1.784
Cu -9.347 3.109 -4.779
Cu -5.033 2.500 -0.255
Cu -6.662 6.540 -9.303
Cu -10.106 -3.522 -9.205
Cu -5.925 -6.991 -4.681
Cu -5.011 -1.636 -0.157
Cu -9.943 0.398 -8.278
Cu -2.388 3.339 -3.754
Cu -8.712 8.412 -12.802
Cu -7.328 -9.665 -12.429
Cu -1.994 -1.513 -7.905
Cu -11.721 -0.970 -3.381
Si -11.255 2.412 -8.587
Si -3.475 1.196 -4.063
Si -6.312 8.541 -13.111
Si -8.030 -6.684 -3.459
Si -4.225 -3.612 -12.508
Si -8.788 -1.853 -7.983
Si -6.278 -7.546 -13.034
Si -4.354 -1.663 -8.510
Si -10.411 -2.939 -3.985
Si -13.216 0.474 -11.939
Si -0.817 0.467 -7.415
Si -7.010 11.208 -2.891
Si -7.852 -7.651 -8.574
Si -3.476 -2.974 -4.049
Si -9.714 -1.523 -13.098
Si -12.264 2.171 -0.167
Si -2.762 0.442 -9.215
Si -6.016 9.536 -4.691
Si -7.671 0.533 -8.628
Si -3.640 5.240 -4.104
Si -9.732 6.376 -13.152
Si -10.515 1.052 -4.072
Si -2.668 2.517 -13.120
Si -7.860 8.580 -8.596
Si -7.084 -9.080 -4.165
Si -2.622 -1.595 -13.214
Si -11.336 -1.473 -8.689
Si -9.753 -5.493 -13.109
Si -4.394 -5.700 -8.585
Si -6.895 -0.955 -4.061
Si -7.823 4.544 -9.685
Si -7.037 3.102 -5.161
Si -6.182 4.503 -0.636
Si -9.627 2.488 -13.083
Si -4.356 2.568 -8.559
Si -7.060 7.093 -4.035
Si -7.812 -3.587 -9.739
Si -7.016 -4.972 -5.214
Si -6.214 -3.590 -0.690
Si -6.138 0.453 -13.160
Si -4.338 6.607 -8.636
Si -10.567 5.089 -4.112
```